Material: In7Te10
Method: DFT, PBE
State: optimized geometry

a b c (Å): 10.917 10.917 10.917
angles (deg): 88.70 88.70 88.70
Atoms (fractional coordinates):
1 In 0.073 0.073 0.073
2 In 0.075 0.354 0.381
3 In 0.170 0.327 0.749
4 In 0.251 0.673 0.830
5 In 0.327 0.749 0.170
6 In 0.354 0.381 0.075
7 In 0.381 0.075 0.354
8 In 0.619 0.646 0.925
9 In 0.646 0.925 0.619
10 In 0.673 0.830 0.251
11 In 0.749 0.170 0.327
12 In 0.830 0.251 0.673
13 In 0.925 0.619 0.646
14 In 0.927 0.927 0.927
15 Te 0.000 0.598 0.402
16 Te 0.064 0.825 0.722
17 Te 0.066 0.169 0.572
18 Te 0.169 0.572 0.066
19 Te 0.175 0.936 0.278
20 Te 0.278 0.175 0.936
21 Te 0.336 0.336 0.336
22 Te 0.336 0.500 0.664
23 Te 0.402 0.000 0.598
24 Te 0.428 0.831 0.934
25 Te 0.500 0.664 0.336
26 Te 0.572 0.066 0.169
27 Te 0.598 0.402 0.000
28 Te 0.664 0.336 0.500
29 Te 0.664 0.664 0.664
30 Te 0.722 0.064 0.825
31 Te 0.825 0.722 0.064
32 Te 0.831 0.934 0.428
33 Te 0.934 0.428 0.831
34 Te 0.936 0.278 0.175

## Properties
Calculated total energy in eV/atom: -3.295
ΔE_f in eV/atom: -0.56